PBE CaP2O6, optimized geometry; ΔH_f (0 K) = -2.972 eV per atom
1.0
7.8357 0.0000 0.0000
0.0000 7.1208 0.0000
0.0000 0.1161 17.2200
Ca P O
8 16 48
Direct
0.8676 0.0158 0.1703
0.3676 0.9842 0.3297
0.1324 0.9842 0.8297
0.6324 0.0158 0.6703
0.3845 0.4743 0.3970
0.8845 0.5257 0.1030
0.6155 0.5257 0.6030
0.1155 0.4743 0.8970
0.7004 0.1387 0.4623
0.2004 0.8613 0.0377
0.2996 0.8613 0.5377
0.7996 0.1387 0.9623
0.9984 0.6274 0.3060
0.4984 0.3726 0.1940
0.0016 0.3726 0.6940
0.5016 0.6274 0.8060
0.9887 0.2186 0.3531
0.4887 0.7814 0.1469
0.0113 0.7814 0.6469
0.5113 0.2186 0.8531
0.7883 0.7332 0.9117
0.2883 0.2668 0.5883
0.2117 0.2668 0.0883
0.7117 0.7332 0.4117
0.1621 0.4235 0.0333
0.6621 0.5765 0.4667
0.8379 0.5765 0.9667
0.3379 0.4235 0.5333
0.5887 0.7593 0.3451
0.0887 0.2407 0.1549
0.4113 0.2407 0.6549
0.9113 0.7593 0.8451
0.5558 0.1797 0.4069
0.0558 0.8203 0.0931
0.4442 0.8203 0.5931
0.9442 0.1797 0.9069
0.5712 0.0634 0.8018
0.0712 0.9366 0.6982
0.4288 0.9366 0.1982
0.9288 0.0634 0.3018
0.5588 0.4105 0.8097
0.0588 0.5895 0.6903
0.2397 0.0826 0.0376
0.9412 0.4105 0.3097
0.3267 0.2209 0.8780
0.8267 0.7791 0.6220
0.6733 0.7791 0.1220
0.1733 0.2209 0.3780
0.6227 0.2283 0.9319
0.1227 0.7717 0.5681
0.3773 0.7717 0.0681
0.8773 0.2283 0.4319
0.7397 0.9174 0.4624
0.9037 0.7059 0.3825
0.2603 0.0826 0.5376
0.7603 0.9174 0.9624
0.6813 0.1935 0.5457
0.1813 0.8065 0.9543
0.3187 0.8065 0.4543
0.8187 0.1935 0.0457
0.3141 0.6531 0.8212
0.8141 0.3469 0.6788
0.6859 0.3469 0.1788
0.1859 0.6531 0.3212
0.5759 0.6993 0.7314
0.0759 0.3007 0.7686
0.4241 0.3007 0.2686
0.9241 0.6993 0.2314
0.5963 0.7059 0.8825
0.0963 0.2941 0.6175
0.4037 0.2941 0.1175
0.4412 0.5895 0.1903

***

PBE Nb5Ni41B12, optimized geometry; ΔH_f (0 K) = -0.332 eV per atom; total magnetic moment = 0.01 μB/f.u.
1.0
12.3780 -3.7291 0.0000
12.3780 3.7291 0.0000
11.2546 0.0000 6.3605
Nb Ni B
5 41 12
Direct
0.6248 0.6248 0.6248
0.1253 0.1253 0.1253
0.8747 0.8747 0.8747
0.3752 0.3752 0.3752
0.0000 0.0000 0.0000
0.4225 0.9625 0.4225
0.9233 0.4613 0.9233
0.4225 0.4225 0.9625
0.9233 0.9233 0.4613
0.1924 0.1924 0.1924
0.6924 0.6924 0.6924
0.9625 0.4225 0.4225
0.4613 0.9233 0.9233
0.0767 0.5387 0.0767
0.5775 0.0375 0.5775
0.0767 0.0767 0.5387
0.5775 0.5775 0.0375
0.3076 0.3076 0.3076
0.8076 0.8076 0.8076
0.5387 0.0767 0.0767
0.0375 0.5775 0.5775
0.0000 0.3435 0.6565
0.5000 0.8409 0.1591
0.6565 0.3435 0.0000
0.1591 0.8409 0.5000
0.8264 0.1733 0.8264
0.3311 0.6694 0.3311
0.0000 0.6565 0.3435
0.5000 0.1591 0.8409
0.8264 0.8264 0.1733
0.3311 0.3311 0.6694
0.6565 0.0000 0.3435
0.1591 0.5000 0.8409
0.3306 0.6689 0.6689
0.8267 0.1736 0.1736
0.6689 0.6689 0.3306
0.1736 0.1736 0.8267
0.6689 0.3306 0.6689
0.1736 0.8267 0.1736
0.1733 0.8264 0.8264
0.6694 0.3311 0.3311
0.3435 0.6565 0.0000
0.8409 0.1591 0.5000
0.8409 0.5000 0.1591
0.3435 0.0000 0.6565
0.5000 0.5000 0.5000
0.3659 0.9023 0.3659
0.8668 0.3999 0.8668
0.6001 0.1332 0.1332
0.0977 0.6341 0.6341
0.1332 0.1332 0.6001
0.6341 0.6341 0.0977
0.1332 0.6001 0.1332
0.6341 0.0977 0.6341
0.3659 0.3659 0.9023
0.8668 0.8668 0.3999
0.9023 0.3659 0.3659
0.3999 0.8668 0.8668

***

PBE ZrCoNi, optimized geometry; ΔH_f (0 K) = -0.358 eV per atom; total magnetic moment = 0.01 μB/f.u.
1.0
4.4653 0.7173 1.8901
-1.4553 4.3131 1.8182
-2.4460 -4.1100 1.0730
Zr Co Ni
2 2 2
Direct
0.1228 0.8728 0.2500
0.8772 0.1272 0.7500
0.0000 0.5000 0.5000
0.5000 0.5000 0.0000
0.5000 0.0000 0.0000
0.5000 0.5000 0.5000

***

PBE Li2CuF5, optimized geometry; ΔH_f (0 K) = -2.453 eV per atom
1.0
5.0221 0.0000 0.0000
-2.3942 5.0970 0.0000
-2.0837 -2.0472 6.9012
Li Cu F
4 2 10
Direct
0.5727 0.9531 0.2161
0.1318 0.4893 0.7600
0.8682 0.5107 0.2400
0.4273 0.0469 0.7839
0.0000 0.0000 0.0000
0.5000 0.5000 0.5000
0.6923 0.3031 0.4598
0.8772 0.2097 0.8468
0.6831 0.7117 0.3615
0.9855 0.7758 0.7734
0.5557 0.7795 0.9559
0.4443 0.2205 0.0441
0.0145 0.2242 0.2266
0.3169 0.2883 0.6385
0.1228 0.7903 0.1532
0.3077 0.6969 0.5402

***

PBE Tb2InNi2, optimized geometry; ΔH_f (0 K) = -0.519 eV per atom
1.0
0.0000 0.0000 3.6224
3.9818 0.0000 0.0000
1.9909 7.1054 0.0000
Tb In Ni
2 1 2
Direct
0.5000 0.3618 0.2764
0.5000 0.6382 0.7236
0.0000 0.0000 0.0000
0.0000 0.1996 0.6007
0.0000 0.8004 0.3993

***

PBE GdBi2ClO4, optimized geometry; ΔH_f (0 K) = -2.357 eV per atom; total magnetic moment = 7.00 μB/f.u.
1.0
3.9215 0.0000 0.0000
0.0000 3.9215 0.0000
0.0000 0.0000 9.0586
Gd Bi Cl O
1 2 1 4
Direct
0.0000 0.0000 0.0000
0.5000 0.5000 0.2804
0.5000 0.5000 0.7196
0.0000 0.0000 0.5000
0.5000 0.0000 0.8427
0.5000 0.0000 0.1573
0.0000 0.5000 0.8427
0.0000 0.5000 0.1573

***

PBE TlO, optimized geometry; ΔH_f (0 K) = -0.437 eV per atom; total magnetic moment = 0.00 μB/f.u.
1.0
3.1813 0.0000 0.0000
0.0000 3.1813 0.0000
0.0000 0.0000 3.1813
Tl O
1 1
Direct
0.0000 0.0000 0.0000
0.5000 0.5000 0.5000

***

PBE Sr4SiP4, optimized geometry; ΔH_f (0 K) = -1.023 eV per atom
1.0
-12.2373 1.6444 -1.8829
-2.3510 -10.7688 5.8743
-0.8500 6.1098 10.8604
Sr Si P
32 8 32
Direct
0.3544 0.3544 0.3544
0.6456 0.6456 0.3544
0.6456 0.3544 0.6456
0.8544 0.8544 0.8544
0.3544 0.6456 0.6456
0.1456 0.1456 0.8544
0.8544 0.1456 0.1456
0.1456 0.8544 0.1456
0.0946 0.1328 0.3546
0.9054 0.8672 0.3546
0.9054 0.1328 0.6454
0.3546 0.0946 0.1328
0.6328 0.5946 0.8546
0.0946 0.8672 0.6454
0.3546 0.9054 0.8672
0.3672 0.4054 0.8546
0.6454 0.9054 0.1328
0.6328 0.4054 0.1454
0.6454 0.0946 0.8672
0.3672 0.5946 0.1454
0.1328 0.3546 0.0946
0.5946 0.8546 0.6328
0.1328 0.6454 0.9054
0.4054 0.1454 0.6328
0.8672 0.6454 0.0946
0.5946 0.1454 0.3672
0.8672 0.3546 0.9054
0.4054 0.8546 0.3672
0.8546 0.6328 0.5946
0.8546 0.3672 0.4054
0.1454 0.3672 0.5946
0.1454 0.6328 0.4054
0.2500 0.0000 0.5000
0.7500 0.0000 0.5000
0.5000 0.2500 0.0000
0.5000 0.7500 0.0000
0.0000 0.5000 0.2500
0.0000 0.5000 0.7500
0.0000 0.0000 0.0000
0.5000 0.5000 0.5000
0.1043 0.3860 0.3494
0.8957 0.6140 0.3494
0.8957 0.3860 0.6506
0.3494 0.1043 0.3860
0.8860 0.6043 0.8494
0.1043 0.6140 0.6506
0.3494 0.8957 0.6140
0.1140 0.3957 0.8494
0.6506 0.8957 0.3860
0.8860 0.3957 0.1506
0.6506 0.1043 0.6140
0.1140 0.6043 0.1506
0.3860 0.3494 0.1043
0.6043 0.8494 0.8860
0.3860 0.6506 0.8957
0.3957 0.1506 0.8860
0.6140 0.6506 0.1043
0.6043 0.1506 0.1140
0.6140 0.3494 0.8957
0.3957 0.8494 0.1140
0.8494 0.8860 0.6043
0.8494 0.1140 0.3957
0.1506 0.1140 0.6043
0.1506 0.8860 0.3957
0.1056 0.1056 0.1056
0.8944 0.8944 0.1056
0.8944 0.1056 0.8944
0.6056 0.6056 0.6056
0.1056 0.8944 0.8944
0.3944 0.3944 0.6056
0.6056 0.3944 0.3944
0.3944 0.6056 0.3944

***

PBE BaSrInBiO6, optimized geometry; ΔH_f (0 K) = -2.256 eV per atom; total magnetic moment = 0.00 μB/f.u.
1.0
2.1112 5.6339 0.4209
-3.7876 4.5665 1.0849
0.0962 2.7929 5.3447
Ba Sr In Bi O
1 1 1 1 6
Direct
0.7500 0.7500 0.7500
0.2500 0.2500 0.2500
0.5000 0.5000 0.5000
0.0000 0.0000 0.0000
0.7518 0.2482 0.2482
0.2482 0.7518 0.7518
0.7518 0.2482 0.7518
0.2482 0.7518 0.2482
0.7518 0.7518 0.2482
0.2482 0.2482 0.7518

***

PBE Na2ZnS2O8, optimized geometry; ΔH_f (0 K) = -2.070 eV per atom; total magnetic moment = 0.00 μB/f.u.
1.0
-0.7607 10.2413 -2.2844
-5.5241 1.1016 6.7781
11.7469 2.9628 9.3714
Na Zn S O
16 8 16 64
Direct
0.0070 0.2500 0.2500
0.6025 0.8021 0.0139
0.4200 0.2500 0.7500
0.8939 0.3003 0.9806
0.3975 0.1979 0.9861
0.6025 0.6979 0.4861
0.1596 0.7500 0.2500
0.9930 0.7500 0.7500
0.3473 0.2500 0.2500
0.1061 0.6997 0.0194
0.8404 0.2500 0.7500
0.5800 0.7500 0.2500
0.6527 0.7500 0.7500
0.1061 0.8003 0.4806
0.3975 0.3021 0.5139
0.8939 0.1997 0.5194
0.1253 0.4270 0.6241
0.6193 0.0847 0.3769
0.6193 0.4153 0.1231
0.3807 0.9153 0.6231
0.8747 0.5730 0.3759
0.8747 0.9270 0.1241
0.3807 0.5847 0.8769
0.1253 0.0730 0.8759
0.8700 0.9237 0.9096
0.1110 0.4371 0.8427
0.1110 0.0629 0.6573
0.1300 0.0763 0.0904
0.3724 0.9349 0.4044
0.8890 0.5629 0.1573
0.6074 0.0731 0.1572
0.6276 0.0651 0.5956
0.6074 0.4269 0.3428
0.1300 0.4237 0.4096
0.8890 0.9371 0.3427
0.6276 0.4349 0.9044
0.8700 0.5763 0.5904
0.3926 0.5731 0.6572
0.3724 0.5651 0.0956
0.3926 0.9269 0.8428
0.2697 0.5735 0.1600
0.3129 0.0701 0.8470
0.1566 0.5858 0.3935
0.5201 0.3314 0.8840
0.6810 0.3989 0.9934
0.5201 0.1686 0.6160
0.1834 0.1291 0.0040
0.1566 0.9142 0.1065
0.3042 0.7942 0.8529
0.4563 0.9263 0.7556
0.9858 0.4000 0.4153
0.4280 0.4050 0.0932
0.3190 0.6011 0.0066
0.0798 0.4991 0.7538
0.5720 0.5950 0.9068
0.4799 0.6686 0.1160
0.2525 0.0837 0.6484
0.9858 0.1000 0.0847
0.9414 0.0375 0.4084
0.9499 0.7823 0.3518
0.9499 0.7177 0.1482
0.6810 0.1011 0.5066
0.6958 0.2058 0.1471
0.1799 0.1728 0.1600
0.3190 0.8989 0.4934
0.4799 0.8314 0.3840
0.0586 0.9625 0.5916
0.8201 0.8272 0.8400
0.2525 0.4163 0.8516
0.0501 0.2823 0.8518
0.0142 0.9000 0.9153
0.4881 0.5690 0.5882
0.7303 0.4265 0.8400
0.0586 0.5375 0.9084
0.5437 0.4263 0.2556
0.9202 0.5009 0.2462
0.5720 0.9050 0.5932
0.6958 0.2942 0.3529
0.9202 0.9991 0.2538
0.8201 0.6728 0.6600
0.9414 0.4625 0.0916
0.5437 0.0737 0.2444
0.5119 0.0690 0.0882
0.5119 0.4310 0.4118
0.1834 0.3709 0.4960
0.2697 0.9265 0.3400
0.7475 0.9163 0.3516
0.3129 0.4299 0.6530
0.8166 0.8709 0.9960
0.8166 0.6291 0.5040
0.4280 0.0950 0.4068
0.4881 0.9310 0.9118
0.8434 0.0858 0.8935
0.8434 0.4142 0.6065
0.0501 0.2177 0.6482
0.0142 0.6000 0.5847
0.1799 0.3272 0.3400
0.3042 0.7058 0.6471
0.7475 0.5837 0.1484
0.4563 0.5737 0.7444
0.6871 0.9299 0.1530
0.7303 0.0735 0.6600
0.0798 0.0009 0.7462
0.6871 0.5701 0.3470

***

Look up the ΔH_f (0 K) of the fourth one. -2.453 eV per atom

***

Which of these has the highest ΔH_f (0 K)? Nb5Ni41B12

***

Repeat the second record exactly.
PBE Nb5Ni41B12, optimized geometry; ΔH_f (0 K) = -0.332 eV per atom; total magnetic moment = 0.01 μB/f.u.
1.0
12.3780 -3.7291 0.0000
12.3780 3.7291 0.0000
11.2546 0.0000 6.3605
Nb Ni B
5 41 12
Direct
0.6248 0.6248 0.6248
0.1253 0.1253 0.1253
0.8747 0.8747 0.8747
0.3752 0.3752 0.3752
0.0000 0.0000 0.0000
0.4225 0.9625 0.4225
0.9233 0.4613 0.9233
0.4225 0.4225 0.9625
0.9233 0.9233 0.4613
0.1924 0.1924 0.1924
0.6924 0.6924 0.6924
0.9625 0.4225 0.4225
0.4613 0.9233 0.9233
0.0767 0.5387 0.0767
0.5775 0.0375 0.5775
0.0767 0.0767 0.5387
0.5775 0.5775 0.0375
0.3076 0.3076 0.3076
0.8076 0.8076 0.8076
0.5387 0.0767 0.0767
0.0375 0.5775 0.5775
0.0000 0.3435 0.6565
0.5000 0.8409 0.1591
0.6565 0.3435 0.0000
0.1591 0.8409 0.5000
0.8264 0.1733 0.8264
0.3311 0.6694 0.3311
0.0000 0.6565 0.3435
0.5000 0.1591 0.8409
0.8264 0.8264 0.1733
0.3311 0.3311 0.6694
0.6565 0.0000 0.3435
0.1591 0.5000 0.8409
0.3306 0.6689 0.6689
0.8267 0.1736 0.1736
0.6689 0.6689 0.3306
0.1736 0.1736 0.8267
0.6689 0.3306 0.6689
0.1736 0.8267 0.1736
0.1733 0.8264 0.8264
0.6694 0.3311 0.3311
0.3435 0.6565 0.0000
0.8409 0.1591 0.5000
0.8409 0.5000 0.1591
0.3435 0.0000 0.6565
0.5000 0.5000 0.5000
0.3659 0.9023 0.3659
0.8668 0.3999 0.8668
0.6001 0.1332 0.1332
0.0977 0.6341 0.6341
0.1332 0.1332 0.6001
0.6341 0.6341 0.0977
0.1332 0.6001 0.1332
0.6341 0.0977 0.6341
0.3659 0.3659 0.9023
0.8668 0.8668 0.3999
0.9023 0.3659 0.3659
0.3999 0.8668 0.8668